# K2MnHgF6 PBE+U optimized geometry
data_K2MnHgF6
_cell_length_a 8.837
_cell_length_b 8.837
_cell_length_c 8.837
_cell_angle_alpha 90.00
_cell_angle_beta 90.00
_cell_angle_gamma 90.00
_symmetry_space_group_name_H-M 'F m -3 m'
_symmetry_Int_Tables_number 225
_symmetry_space_group_name_Hall '-F 4 2 3'
loop_
_atom_site_label
_atom_site_fract_x
_atom_site_fract_y
_atom_site_fract_z
_atom_site_occupancy
K1 0.250 0.250 0.250 1
Mn1 0.000 0.000 0.000 1
Hg1 0.000 0.000 0.500 1
F1 0.000 0.000 0.234 1
# raw total energy = -4.4808 eV per atom
# energy relative to the elements = -2.607 eV/atom


# BaNaBiWO6 PBE+U optimized geometry
data_BaNaBiWO6
_cell_length_a 8.565
_cell_length_b 8.565
_cell_length_c 8.565
_cell_angle_alpha 90.00
_cell_angle_beta 90.00
_cell_angle_gamma 90.00
_symmetry_space_group_name_H-M 'F -4 3 m'
_symmetry_Int_Tables_number 216
_symmetry_space_group_name_Hall 'F -4 2 3'
loop_
_atom_site_label
_atom_site_fract_x
_atom_site_fract_y
_atom_site_fract_z
_atom_site_occupancy
Ba1 0.000 0.000 0.000 1
Na1 0.000 0.000 0.500 1
Bi1 0.250 0.250 0.750 1
W1 0.250 0.250 0.250 1
O1 0.022 0.250 0.250 1
# offset from the most stable computed form = 0.019 eV per atom
# raw total energy = -6.3966 eV per atom
# energy relative to the elements = -2.275 eV/atom


# Mg6VCoO8 PBE+U optimized geometry
data_Mg6VCoO8
_cell_length_a 4.276
_cell_length_b 4.276
_cell_length_c 8.618
_cell_angle_alpha 90.00
_cell_angle_beta 90.00
_cell_angle_gamma 90.00
_symmetry_space_group_name_H-M 'P 4/m m m'
_symmetry_Int_Tables_number 123
_symmetry_space_group_name_Hall '-P 4 2'
loop_
_atom_site_label
_atom_site_fract_x
_atom_site_fract_y
_atom_site_fract_z
_atom_site_occupancy
Mg1 0.000 0.000 0.000 1
Mg2 0.000 0.500 0.249 1
Mg3 0.500 0.500 0.000 1
V1 0.000 0.000 0.500 1
Co1 0.500 0.500 0.500 1
O1 0.000 0.000 0.247 1
O2 0.000 0.500 0.000 1
O3 0.000 0.500 0.500 1
O4 0.500 0.500 0.245 1
# raw total energy = -6.2115 eV per atom
# energy relative to the elements = -2.678 eV/atom